(1)
This record from the Materials Project describes NaMnAsO4 after structural relaxation. The functional is GGA+U.

Summary:
uncorrected energy: -0.23469 hartree per atom
ΔE_f: -14.2 eV per formula unit

```
NaMnAsO4
1.0
5.2451 0.0000 0.0000
0.0000 6.4790 0.0000
0.0000 0.0000 10.9325
Na O As Mn
4 16 4 4
direct
0.5000 0.0000 0.5000
0.0000 0.0000 0.0000
0.5000 0.5000 0.5000
0.0000 0.5000 0.0000
0.2978 0.5430 0.1779
0.2716 0.2500 0.3878
0.7716 0.7500 0.1122
0.7022 0.0430 0.8221
0.7284 0.7500 0.6122
0.2022 0.9570 0.6779
0.8327 0.2500 0.5442
0.2284 0.2500 0.8878
0.3327 0.7500 0.9558
0.7978 0.0430 0.3221
0.7978 0.4570 0.3221
0.2978 0.9570 0.1779
0.2022 0.5430 0.6779
0.7022 0.4570 0.8221
0.6673 0.2500 0.0442
0.1673 0.7500 0.4558
0.9452 0.2500 0.3952
0.4452 0.7500 0.1048
0.5548 0.2500 0.8952
0.0548 0.7500 0.6048
0.5061 0.7500 0.7813
0.0061 0.2500 0.7187
0.4939 0.2500 0.2187
0.9939 0.7500 0.2813
```

(2)
This record from the Materials Project describes Co2P5O16 after structural relaxation. The functional is GGA+U.

Summary:
uncorrected energy: -0.25137 hartree per atom
ΔE_f: -51.1 eV per formula unit

```
Co2P5O16
1.0
6.6266 0.0000 0.0000
0.0000 4.8891 0.0000
0.0000 0.3825 18.5076
P O Co
10 32 4
direct
0.8756 0.7510 0.5744
0.4525 0.2690 0.8707
0.8756 0.2490 0.9256
0.5475 0.7310 0.1293
0.1244 0.7510 0.0744
0.4525 0.7310 0.6293
0.7469 0.0000 0.2500
0.2531 0.0000 0.7500
0.1244 0.2490 0.4256
0.5475 0.2690 0.3707
0.0251 0.5641 0.6131
0.3472 0.9298 0.5785
0.9446 0.0543 0.5677
0.3105 0.2258 0.3687
0.5800 0.4278 0.1175
0.8712 0.1484 0.1935
0.5800 0.5722 0.3825
0.8712 0.8516 0.3065
0.7842 0.6506 0.5042
0.9446 0.9457 0.9323
0.9749 0.5641 0.1131
0.5941 0.7923 0.2127
0.4200 0.4278 0.6175
0.0251 0.4359 0.8869
0.2158 0.3494 0.4958
0.3105 0.7742 0.1313
0.1288 0.1484 0.6935
0.6528 0.9298 0.0785
0.4059 0.2077 0.7873
0.2158 0.6506 0.0042
0.7842 0.3494 0.9958
0.6528 0.0702 0.4215
0.4059 0.7923 0.7127
0.4200 0.5722 0.8825
0.6895 0.7742 0.6313
0.0554 0.9457 0.4323
0.3472 0.0702 0.9215
0.6895 0.2258 0.8687
0.5941 0.2077 0.2873
0.9749 0.4359 0.3869
0.1288 0.8516 0.8065
0.0554 0.0543 0.0677
0.1775 0.2412 0.5933
0.1775 0.7588 0.9067
0.8225 0.7588 0.4067
0.8225 0.2412 0.0933
```

(3)
This record from the Materials Project describes Mn12O7F17 after structural relaxation. The functional is GGA+U.

Summary:
E above lowest polymorph: 16 meV per atom
uncorrected energy: -0.24158 hartree per atom
ΔE_f: -92.2 eV per formula unit

```
Mn12O7F17
1.0
4.8027 0.0000 0.0000
0.3964 5.7912 0.0000
0.1441 0.1188 15.8965
F Mn O
17 12 7
direct
0.2249 0.1199 0.0193
0.7852 0.8844 0.6403
0.7483 0.3910 0.9794
0.7282 0.3840 0.6470
0.2299 0.8834 0.5218
0.7506 0.6195 0.4835
0.2752 0.3754 0.8657
0.2998 0.3799 0.5226
0.2382 0.0983 0.3566
0.2409 0.1118 0.6845
0.7722 0.8875 0.3042
0.2404 0.8793 0.8509
0.7631 0.1038 0.1353
0.2257 0.8753 0.1927
0.7199 0.6123 0.1513
0.2520 0.3839 0.1899
0.7344 0.6125 0.8161
0.9964 0.8466 0.4140
0.9719 0.1432 0.9102
0.9959 0.8296 0.0764
0.9812 0.1731 0.2517
0.5157 0.3493 0.4130
0.9866 0.1718 0.5722
0.4784 0.3484 0.0794
0.4821 0.6444 0.2606
0.0006 0.8452 0.7484
0.4840 0.6657 0.5935
0.5162 0.6851 0.9270
0.4889 0.3405 0.7544
0.7754 0.1082 0.8002
0.7871 0.8879 0.9723
0.7788 0.1132 0.4621
0.7072 0.3954 0.3083
0.2678 0.6103 0.7028
0.2684 0.6094 0.3647
0.2884 0.6303 0.0275
```

(4)
This record from the Materials Project describes MgMn2O4 after structural relaxation. The functional is GGA+U.

Summary:
E above lowest polymorph: 95 meV per atom
uncorrected energy: -0.25912 hartree per atom
ΔE_f: -15.7 eV per formula unit

```
MgMn2O4
1.0
8.9605 0.0000 0.0000
0.0000 3.2135 0.0000
0.0000 1.4578 10.7845
Mn Mg O
8 4 16
direct
0.5539 0.1697 0.6108
0.0826 0.4858 0.3833
0.4174 0.4858 0.8833
0.9461 0.1697 0.1108
0.0539 0.8303 0.8892
0.5826 0.5142 0.1167
0.4461 0.8303 0.3892
0.9174 0.5142 0.6167
0.7851 0.0440 0.3444
0.7149 0.0440 0.8444
0.2149 0.9560 0.6556
0.2851 0.9560 0.1556
0.4050 0.7761 0.5666
0.1243 0.5134 0.5581
0.7146 0.4970 0.6789
0.9050 0.2239 0.9334
0.7854 0.4970 0.1789
0.8757 0.4866 0.4419
0.3757 0.5134 0.0581
0.0240 0.0604 0.2784
0.6243 0.4866 0.9419
0.2854 0.5030 0.3211
0.5950 0.2239 0.4334
0.2146 0.5030 0.8211
0.9760 0.9396 0.7216
0.4760 0.0604 0.7784
0.0950 0.7761 0.0666
0.5240 0.9396 0.2216
```

(5)
This record from the Materials Project describes Li3MnP2O8 after structural relaxation. The functional is GGA+U.

Summary:
E above lowest polymorph: 7 meV per atom
uncorrected energy: -0.24801 hartree per atom
ΔE_f: -36.3 eV per formula unit

```
Li3MnP2O8
1.0
-2.8280 4.1145 -0.1193
0.4282 -0.0163 12.6082
2.7019 4.0354 0.0647
O Li Mn P
16 6 2 4
direct
0.2363 0.8609 0.7019
0.7648 0.1390 0.2975
0.3178 0.1280 0.7556
0.2341 0.3612 0.7030
0.6809 0.3722 0.2464
0.7647 0.0335 0.7492
0.2396 0.7655 0.2394
0.7659 0.6388 0.2969
0.2343 0.4667 0.2510
0.3189 0.6278 0.7536
0.7612 0.7343 0.7599
0.6829 0.8720 0.2438
0.2355 0.9664 0.2505
0.7656 0.5333 0.7489
0.2391 0.2657 0.2401
0.7606 0.2345 0.7605
0.3167 0.6120 0.3342
0.6847 0.8880 0.6647
0.9992 0.5001 0.0008
0.6828 0.3879 0.6662
0.3148 0.1119 0.3356
0.9994 0.0001 0.0006
0.9994 0.2503 0.0009
0.0009 0.7499 0.9990
0.3467 0.3688 0.3500
0.6533 0.6312 0.6500
0.6521 0.1314 0.6509
0.3484 0.8686 0.3487
```

(6)
This record from the Materials Project describes Na3GeMo3O19 after structural relaxation. The functional is GGA+U.

Summary:
uncorrected energy: -0.20949 hartree per atom
ΔE_f: -25.7 eV per formula unit

```
Na3GeMo3O19
1.0
-8.4216 2.2700 0.4521
-3.4202 -6.4436 -6.0295
-4.3782 -7.8489 5.8512
O Mo Na Ge
38 6 6 2
direct
0.4268 0.8672 0.4580
0.9736 0.2926 0.7846
0.6233 0.8774 0.9153
0.4411 0.0473 0.8116
0.1730 0.3983 0.3155
0.0630 0.0110 0.0111
0.4577 0.6961 0.1699
0.0264 0.7074 0.2154
0.8270 0.6017 0.6845
0.7889 0.4209 0.2666
0.2387 0.9014 0.2660
0.3424 0.8231 0.7400
0.2040 0.3071 0.9441
0.8915 0.1265 0.4081
0.7018 0.3611 0.5313
0.7613 0.0986 0.7340
0.1261 0.6790 0.1229
0.6576 0.1769 0.2600
0.2982 0.6389 0.4687
0.5423 0.3039 0.8301
0.2856 0.2100 0.4220
0.3767 0.1226 0.0847
0.5469 0.6078 0.6348
0.6191 0.6479 0.3446
0.5732 0.1328 0.5420
0.3809 0.3521 0.6554
0.1085 0.8735 0.5919
0.3823 0.5331 0.9302
0.5589 0.9527 0.1884
0.1331 0.3633 0.5202
0.8669 0.6367 0.4798
0.7144 0.7900 0.5780
0.8739 0.3210 0.8771
0.4531 0.3922 0.3652
0.9370 0.9890 0.9889
0.2111 0.5791 0.7334
0.6177 0.4669 0.0698
0.7960 0.6929 0.0559
0.7137 0.2339 0.3830
0.3399 0.4261 0.8346
0.4275 0.8218 0.2936
0.6601 0.5739 0.1654
0.2863 0.7661 0.6170
0.5725 0.1782 0.7064
0.0164 0.1306 0.5803
0.6746 0.1552 0.0344
0.4006 0.3194 0.1804
0.5994 0.6806 0.8196
0.3254 0.8448 0.9656
0.9836 0.8694 0.4197
0.3166 0.4427 0.5016
0.6834 0.5573 0.4984
```

(7)
This record from the Materials Project describes Li2MnP2O7 after structural relaxation. The functional is GGA+U.

Summary:
maximum piezoelectric response: 0.38 C/m²
E above lowest polymorph: 7 meV per atom
uncorrected energy: -0.25708 hartree per atom
ΔE_f: -32.0 eV per formula unit

```
Li2MnP2O7
1.0
1.0832 6.9690 1.6945
8.0314 -0.5459 -2.8735
-2.4394 5.9265 -7.9493
O P Li Mn
28 8 8 4
direct
0.5029 0.9635 0.1074
0.1006 0.5506 0.3121
0.1054 0.2919 0.6064
0.1009 0.5507 0.8122
0.8992 0.0507 0.6879
0.3831 0.3087 0.2204
0.4970 0.4635 0.3926
0.8945 0.7920 0.8935
0.4965 0.6669 0.1055
0.5029 0.9636 0.6074
0.9040 0.1868 0.4637
0.9039 0.1870 0.9638
0.4970 0.4636 0.8927
0.8945 0.7920 0.3935
0.0960 0.6868 0.0364
0.8992 0.0503 0.1875
0.5036 0.1668 0.3944
0.7445 0.3235 0.6970
0.6171 0.8086 0.7794
0.5037 0.1669 0.8945
0.2554 0.8235 0.8029
0.2553 0.8234 0.3030
0.7446 0.3236 0.1970
0.0958 0.6867 0.5364
0.1056 0.2918 0.1065
0.4965 0.6669 0.6055
0.6170 0.8086 0.2794
0.3829 0.3086 0.7206
0.9177 0.2055 0.1095
0.5210 0.3140 0.8058
0.4790 0.8140 0.1942
0.4790 0.8140 0.6942
0.0823 0.7054 0.3906
0.0824 0.7056 0.8906
0.9176 0.2055 0.6095
0.5210 0.3140 0.3058
0.0891 0.3217 0.3239
0.9109 0.8216 0.1762
0.9107 0.8218 0.6762
0.6499 0.6480 0.4073
0.3501 0.1480 0.5927
0.3501 0.1480 0.0927
0.0891 0.3218 0.8237
0.6498 0.6481 0.9072
0.2773 0.5082 0.5943
0.2773 0.5081 0.0943
0.7228 0.0081 0.4057
0.7232 0.0084 0.9059
```

(8)
This record from the Materials Project describes Ba2V2O5 after structural relaxation. The functional is GGA+U.

Summary:
uncorrected energy: -0.26091 hartree per atom
ΔE_f: -24.0 eV per formula unit

```
Ba2V2O5
1.0
1.5557 -3.4489 -1.6608
-7.0852 -3.5655 0.7542
-2.1351 2.6575 -7.5132
V Ba O
4 4 10
direct
0.4999 0.2504 0.2564
0.4999 0.2497 0.7274
0.5025 0.7504 0.2725
0.5000 0.7498 0.7436
0.9993 0.5000 0.0000
0.0013 0.0000 0.0001
0.0006 0.0000 0.5000
0.0005 0.5000 0.5002
0.4999 0.4984 0.7745
0.4999 0.0014 0.7745
0.9999 0.2502 0.2295
0.4982 0.7500 0.5018
0.5000 0.9987 0.2257
0.0002 0.2499 0.7639
0.4998 0.5015 0.2255
0.9981 0.7499 0.2360
0.9996 0.7499 0.7706
0.5005 0.2499 0.4981
```

(9)
This record from the Materials Project describes Co6Te3Cl2O12 after structural relaxation. The functional is GGA+U.

Summary:
uncorrected energy: -0.20560 hartree per atom
ΔE_f: -31.6 eV per formula unit

```
Co6Te3Cl2O12
1.0
8.5209 0.0000 0.0000
0.0000 8.5209 0.0000
0.0000 0.0000 18.7343
O Co Cl Te
48 24 8 12
direct
0.6588 0.8095 0.5756
0.6905 0.8412 0.0756
0.6588 0.8095 0.4244
0.3095 0.1588 0.9244
0.9036 0.6442 0.0000
0.1636 0.6636 0.7500
0.8979 0.6147 0.3279
0.3412 0.1905 0.5756
0.8364 0.3364 0.2500
0.1636 0.6636 0.2500
0.1588 0.6905 0.4244
0.6905 0.8412 0.9244
0.8412 0.3095 0.5756
0.3853 0.8979 0.8279
0.8364 0.3364 0.7500
0.5964 0.1442 0.0000
0.1905 0.6588 0.0756
0.6147 0.1021 0.1721
0.8558 0.5964 0.5000
0.1147 0.3979 0.1721
0.6442 0.0964 0.5000
0.6636 0.8364 0.7500
0.3095 0.1588 0.0756
0.8095 0.3412 0.9244
0.1588 0.6905 0.5756
0.1905 0.6588 0.9244
0.6147 0.1021 0.8279
0.3979 0.8853 0.6721
0.8853 0.6021 0.1721
0.8853 0.6021 0.8279
0.3412 0.1905 0.4244
0.8979 0.6147 0.6721
0.4036 0.8558 0.0000
0.0964 0.3558 0.0000
0.3979 0.8853 0.3279
0.1147 0.3979 0.8279
0.1021 0.3853 0.3279
0.6021 0.1147 0.6721
0.6636 0.8364 0.2500
0.3364 0.1636 0.2500
0.8412 0.3095 0.4244
0.8095 0.3412 0.0756
0.3853 0.8979 0.1721
0.6021 0.1147 0.3279
0.1442 0.4036 0.5000
0.3364 0.1636 0.7500
0.1021 0.3853 0.6721
0.3558 0.9036 0.5000
0.8029 0.8176 0.1684
0.0000 0.5000 0.4167
0.0000 0.5000 0.9167
0.1971 0.1824 0.8316
0.6971 0.3176 0.1684
0.5000 0.0000 0.9167
0.3176 0.3029 0.3316
0.1824 0.8029 0.3316
0.8176 0.1971 0.3316
0.8176 0.1971 0.6684
0.3029 0.6824 0.8316
0.0000 0.5000 0.5833
0.1824 0.8029 0.6684
0.3029 0.6824 0.1684
0.6971 0.3176 0.8316
0.6824 0.6971 0.3316
0.5000 0.0000 0.5833
0.8029 0.8176 0.8316
0.0000 0.5000 0.0833
0.5000 0.0000 0.0833
0.6824 0.6971 0.6684
0.1971 0.1824 0.1684
0.3176 0.3029 0.6684
0.5000 0.0000 0.4167
0.0000 0.0000 0.8569
0.0000 0.0000 0.6431
0.5000 0.5000 0.8569
0.5000 0.5000 0.6431
0.0000 0.0000 0.3569
0.5000 0.5000 0.1431
0.0000 0.0000 0.1431
0.5000 0.5000 0.3569
0.5000 0.0000 0.7500
0.8183 0.1911 0.0000
0.8089 0.8183 0.5000
0.0000 0.5000 0.7500
0.1817 0.8089 0.0000
0.3183 0.3089 0.0000
0.1911 0.1817 0.5000
0.6911 0.3183 0.5000
0.5000 0.0000 0.2500
0.3089 0.6817 0.5000
0.0000 0.5000 0.2500
0.6817 0.6911 0.0000
```